Here is a relaxed Rb2U2O7 crystal from Materials Project. Energies are from PBE.

ΔH_f (0 K) ... -3.296 eV/atom
Offset from the most stable computed form ... 0.008 eV/atom

CIF file:
```
data_Rb2U2O7
_space_group_name_H-M_alt 'P -1'
_space_group_IT_number 2
_cell_length_a 6.980
_cell_length_b 7.534
_cell_length_c 8.062
_cell_angle_alpha 74.55
_cell_angle_beta 89.83
_cell_angle_gamma 81.22
loop_
_space_group_symop_operation_xyz
'x,y,z'
'-x,-y,-z'
loop_
_atom_site_label
_atom_site_fract_x
_atom_site_fract_y
_atom_site_fract_z
Rb1 0.236 0.490 0.378
Rb2 0.258 0.479 0.879
U1 0.000 0.000 0.000
U2 0.000 0.000 0.500
U3 0.470 0.994 0.253
O1 0.055 0.736 0.048
O2 0.055 0.736 0.583
O3 0.135 0.981 0.255
O4 0.308 0.021 0.547
O5 0.308 0.023 0.941
O6 0.437 0.254 0.189
O7 0.492 0.268 0.680
```



Here is a relaxed Ca6Si6O19 crystal from Materials Project. Energies are from PBE.

ΔH_f (0 K) ... -3.010 eV/atom
Offset from the most stable computed form ... 0.246 eV/atom
Total moment ... 2.0 μB/f.u.

CIF file:
```
data_Ca6Si6O19
_space_group_name_H-M_alt 'C 1 2/c 1'
_space_group_IT_number 15
_cell_length_a 14.213
_cell_length_b 7.427
_cell_length_c 16.633
_cell_angle_alpha 90.00
_cell_angle_beta 91.35
_cell_angle_gamma 90.00
loop_
_space_group_symop_operation_xyz
'x,y,z'
'-x,-y,-z'
'-x,y,-z+1/2'
'x,-y,z+1/2'
'x+1/2,y+1/2,z'
'-x+1/2,-y+1/2,-z'
'-x+1/2,y+1/2,-z+1/2'
'x+1/2,-y+1/2,z+1/2'
loop_
_atom_site_label
_atom_site_fract_x
_atom_site_fract_y
_atom_site_fract_z
Ca1 0.163 0.121 0.425
Ca2 0.164 0.373 0.926
Ca3 0.247 0.127 0.750
Si1 0.018 0.375 0.322
Si2 0.119 0.088 0.105
Si3 0.119 0.338 0.603
O1 0.000 0.116 0.750
O2 0.021 0.198 0.127
O3 0.021 0.448 0.627
O4 0.085 0.125 0.605
O5 0.127 0.126 0.840
O6 0.131 0.375 0.339
O7 0.158 0.379 0.514
O8 0.161 0.131 0.017
O9 0.203 0.125 0.171
O10 0.203 0.378 0.668
```